(1)
K2NaH6N3: optimized geometry, PBE-GGA.

```
48
Lattice="7.033 0.000 0.000 0.000 7.033 0.000 0.000 0.000 12.409" Properties=species:S:1:pos:R:3 pbc="T T T"
K 0.000 0.000 0.000
K 0.000 0.000 6.205
K 0.000 3.517 1.869
K 0.000 3.517 10.540
K 3.517 0.000 4.335
K 3.517 0.000 8.074
K 3.517 3.517 3.102
K 3.517 3.517 9.307
Na 2.283 4.486 6.205
Na 2.547 2.283 0.000
Na 4.486 4.750 0.000
Na 4.750 2.547 6.205
H 0.338 4.709 4.340
H 0.338 4.709 8.070
H 1.000 5.873 3.458
H 1.000 5.873 8.951
H 1.160 1.000 2.746
H 1.160 1.000 9.663
H 1.711 2.080 5.400
H 1.711 2.080 7.009
H 2.080 5.322 0.805
H 2.080 5.322 11.605
H 2.324 0.338 1.865
H 2.324 0.338 10.544
H 4.709 6.695 1.865
H 4.709 6.695 10.544
H 4.953 1.711 0.805
H 4.953 1.711 11.605
H 5.322 4.953 5.400
H 5.322 4.953 7.009
H 5.873 6.033 2.746
H 5.873 6.033 9.663
H 6.033 1.160 3.458
H 6.033 1.160 8.951
H 6.695 2.324 4.340
H 6.695 2.324 8.070
N 1.253 5.137 4.132
N 1.253 5.137 8.278
N 1.896 1.253 2.073
N 1.896 1.253 10.336
N 1.956 4.689 0.000
N 2.345 1.956 6.205
N 4.689 5.077 6.205
N 5.077 2.345 0.000
N 5.137 5.780 2.073
N 5.137 5.780 10.336
N 5.780 1.896 4.132
N 5.780 1.896 8.278
```

Calculated values
- Volume: 12.8 A^3/atom
- Formation energy: -0.4443 eV per atom
- SG: P4_2/m



(2)
KNa2P3H7N3O8: optimized geometry, PBE-GGA.

```
48
Lattice="8.088 0.000 0.000 1.975 7.939 0.000 1.166 1.986 8.347" Properties=species:S:1:pos:R:3 pbc="T T T"
K 2.020 2.489 3.695
K 9.209 7.436 4.652
Na 3.550 2.750 0.078
Na 4.842 4.537 2.837
Na 6.386 5.388 5.510
Na 7.679 7.176 8.269
P 1.956 5.552 1.290
P 4.539 7.929 7.060
P 4.274 7.469 1.108
P 6.954 2.456 7.239
P 6.690 1.996 1.287
P 9.273 4.373 7.057
H 2.173 7.737 1.916
H 0.865 1.896 0.778
H 3.465 5.041 5.480
H 3.969 6.471 5.004
H 3.148 2.254 7.286
H 5.844 7.884 4.368
H 4.996 2.854 5.265
H 6.232 7.071 3.082
H 5.385 2.041 3.979
H 8.081 7.671 1.061
H 7.260 3.454 3.343
H 7.764 4.884 2.867
H 10.364 8.029 7.569
H 9.056 2.188 6.431
N 3.134 7.584 7.945
N 2.811 6.941 1.814
N 5.229 9.296 7.780
N 5.999 0.630 0.567
N 8.417 2.985 6.533
N 8.094 2.341 0.402
O 2.623 4.146 6.625
O 2.708 4.326 1.756
O 4.096 8.290 5.644
O 2.427 1.007 1.413
O 3.972 5.518 4.761
O 5.493 6.770 7.239
O 5.360 6.513 1.568
O 4.668 2.585 4.367
O 6.560 7.340 3.980
O 5.868 3.413 6.779
O 5.735 3.155 1.108
O 7.257 4.407 3.586
O 8.802 8.918 6.934
O 7.132 1.635 2.703
O 8.521 5.599 6.591
O 8.605 5.779 1.722
```

Calculated values
- Volume: 11.2 A^3/atom
- Formation energy: -1.6294 eV per atom
- SG: P-1



(3)
KPH3NO3: optimized geometry, PBE-GGA.

```
36
Lattice="6.164 0.000 0.000 0.000 6.924 0.000 -6.069 0.000 10.331" Properties=species:S:1:pos:R:3 pbc="T T T"
K -1.505 0.082 3.008
K -4.539 3.380 8.174
K 4.634 3.544 2.157
K 1.600 6.841 7.323
P -1.487 4.568 6.080
P 1.547 5.817 0.915
P -1.452 1.107 9.416
P 1.582 2.355 4.251
H 0.576 1.041 0.808
H -2.458 2.421 5.973
H 2.154 1.056 0.129
H -0.881 2.406 5.295
H 1.950 1.137 1.823
H -1.085 2.325 6.989
H 1.180 4.599 3.342
H -1.855 5.787 8.508
H 0.976 4.518 5.036
H -2.058 5.868 10.202
H 2.553 4.503 4.358
H -0.481 5.883 9.523
N 1.566 0.711 0.937
N -1.468 2.751 6.102
N 1.563 4.173 4.229
N -1.471 6.213 9.394
O -1.904 4.868 4.645
O -4.938 5.517 9.811
O -2.521 4.953 7.133
O 0.513 5.433 1.968
O -2.899 1.465 9.065
O 0.136 1.997 3.899
O -0.041 4.927 6.432
O 2.994 5.459 1.266
O -0.418 1.491 8.363
O 2.616 1.971 3.198
O 5.033 1.406 0.520
O 1.999 2.056 5.686
```

Calculated values
- Volume: 12.2 A^3/atom
- Formation energy: -1.6794 eV per atom
- SG: P2_1/c



(4)
KPH3NO3: optimized geometry, PBE-GGA.

```
72
Lattice="6.885 0.000 0.000 0.000 10.514 0.000 -6.044 0.000 12.162" Properties=species:S:1:pos:R:3 pbc="T T T"
K -1.344 1.720 5.239
K -4.366 3.536 11.320
K -2.605 7.122 9.584
K 0.417 8.648 3.502
K 0.423 1.865 8.660
K 3.446 3.391 2.579
K 5.206 6.977 0.842
K 2.184 8.793 6.923
P -3.217 0.285 9.934
P -0.195 4.972 3.853
P -1.118 6.557 6.338
P 1.904 9.213 0.257
P -1.063 1.301 11.906
P 1.959 3.956 5.825
P 1.035 5.542 8.310
P 4.057 10.229 2.228
H -5.104 0.416 11.249
H -2.082 4.841 5.167
H 0.402 1.943 1.013
H -2.621 3.314 7.094
H -2.658 2.549 8.457
H 0.364 2.708 2.375
H 1.342 5.691 1.684
H -1.681 10.080 7.766
H 2.223 6.413 0.612
H -0.799 9.357 6.694
H 1.957 0.449 1.748
H -1.065 4.808 7.829
H 1.906 5.706 4.333
H -1.116 10.065 10.414
H 1.640 1.157 5.469
H -1.383 4.100 11.550
H 2.521 0.434 4.397
H -0.501 4.823 10.478
H 0.477 7.805 9.787
H 3.499 7.965 3.706
H 3.461 7.200 5.068
H 0.439 8.570 11.150
H 2.922 5.672 6.995
H 5.944 10.098 0.914
N -1.259 5.468 5.061
N -4.281 10.302 11.142
N -0.520 5.668 7.654
N 2.502 10.103 1.573
N -1.661 0.411 10.590
N 1.361 4.846 4.508
N 5.121 0.211 1.020
N 2.099 5.045 7.101
O -2.558 6.932 6.684
O 0.465 8.838 0.603
O -3.751 1.633 9.484
O -0.729 3.624 3.403
O -0.037 6.044 2.785
O -3.059 9.726 8.866
O 0.987 2.245 1.750
O -2.035 3.011 7.831
O 2.054 5.527 1.007
O -0.969 10.243 7.088
O -0.153 7.676 6.021
O -3.176 8.094 12.102
O 4.016 2.420 0.060
O 0.994 2.837 6.141
O 1.809 0.270 5.074
O -1.213 4.986 11.155
O 2.875 7.502 4.331
O -0.147 8.268 10.412
O 3.899 0.787 3.296
O 0.877 4.470 9.377
O 1.569 6.890 8.759
O 4.592 8.881 2.678
O 0.376 1.675 11.559
O 3.398 3.582 5.478
```

Calculated values
- Volume: 12.2 A^3/atom
- Formation energy: -1.6086 eV per atom
- SG: P2_1/c



(5)
KP2H8SN7O2: optimized geometry, PBE-GGA.

```
168
Lattice="9.923 0.000 0.000 0.000 13.377 0.000 0.000 0.000 13.893" Properties=species:S:1:pos:R:3 pbc="T T T"
K 0.899 1.702 1.480
K 0.899 4.986 8.427
K 4.062 8.391 1.480
K 4.062 11.674 8.427
K 5.861 1.702 5.467
K 5.861 4.986 12.414
K 9.023 8.391 5.467
K 9.023 11.674 12.414
P 0.530 1.262 5.076
P 0.530 5.427 12.022
P 2.179 3.127 11.747
P 2.179 3.561 4.800
P 2.783 9.816 11.747
P 2.783 10.249 4.800
P 4.431 7.950 5.076
P 4.431 12.115 12.022
P 5.491 1.262 1.871
P 5.491 5.427 8.818
P 7.140 3.127 9.093
P 7.140 3.561 2.146
P 7.744 9.816 9.093
P 7.744 10.249 2.146
P 9.392 7.950 1.871
P 9.392 12.115 8.818
H 0.463 1.689 12.450
H 0.463 4.999 5.503
H 0.796 7.458 10.902
H 0.796 12.607 3.955
H 0.799 0.225 9.928
H 0.799 6.463 2.981
H 0.927 9.920 10.372
H 0.927 10.144 3.425
H 0.995 9.107 0.611
H 0.995 10.958 7.558
H 1.198 7.457 0.501
H 1.198 12.608 7.447
H 1.998 0.875 12.432
H 1.998 5.813 5.486
H 2.192 9.054 9.682
H 2.192 11.011 2.735
H 2.769 2.366 9.682
H 2.769 4.323 2.735
H 2.963 7.564 12.432
H 2.963 12.501 5.486
H 3.764 0.768 0.501
H 3.764 5.920 7.447
H 3.966 2.418 0.611
H 3.966 4.270 7.558
H 4.035 3.232 10.372
H 4.035 3.456 3.425
H 4.162 6.913 9.928
H 4.162 13.152 2.981
H 4.166 0.769 10.902
H 4.166 5.919 3.955
H 4.498 8.378 12.450
H 4.498 11.687 5.503
H 5.425 1.689 8.390
H 5.425 4.999 1.443
H 5.757 7.458 9.938
H 5.757 12.607 2.992
H 5.761 0.225 10.912
H 5.761 6.463 3.965
H 5.888 9.920 10.468
H 5.888 10.144 3.521
H 5.956 9.107 6.336
H 5.956 10.958 13.283
H 6.159 7.457 6.446
H 6.159 12.608 13.393
H 6.959 0.875 8.408
H 6.959 5.813 1.461
H 7.153 9.054 11.158
H 7.153 11.011 4.212
H 7.731 2.366 11.158
H 7.731 4.323 4.212
H 7.925 7.564 8.408
H 7.925 12.501 1.461
H 8.725 0.768 6.446
H 8.725 5.920 13.393
H 8.928 2.418 6.336
H 8.928 4.270 13.283
H 8.996 3.232 10.468
H 8.996 3.456 3.521
H 9.123 6.913 10.912
H 9.123 13.152 3.965
H 9.127 0.769 9.938
H 9.127 5.919 2.992
H 9.459 8.378 8.390
H 9.459 11.687 1.443
S 2.363 8.416 6.859
S 2.363 11.649 13.806
S 2.598 1.728 6.859
S 2.598 4.960 13.806
S 7.324 8.416 0.087
S 7.324 11.649 7.034
S 7.560 1.728 0.087
S 7.560 4.960 7.034
N 0.180 0.055 3.999
N 0.180 6.633 10.946
N 0.949 8.229 1.143
N 0.949 11.836 8.090
N 0.962 2.612 4.312
N 0.962 4.077 11.259
N 1.453 1.714 12.202
N 1.453 4.974 5.256
N 1.705 0.666 6.050
N 1.705 6.022 12.997
N 1.729 9.311 10.567
N 1.729 10.754 3.620
N 1.777 9.528 5.873
N 1.777 10.537 12.820
N 3.184 2.840 5.873
N 3.184 3.848 12.820
N 3.232 2.623 10.567
N 3.232 4.065 3.620
N 3.257 7.355 6.050
N 3.257 12.710 12.997
N 3.508 8.403 12.202
N 3.508 11.662 5.256
N 3.999 9.300 4.312
N 3.999 10.765 11.259
N 4.013 1.541 1.143
N 4.013 5.148 8.090
N 4.781 6.744 3.999
N 4.781 13.321 10.946
N 5.142 0.055 2.948
N 5.142 6.633 9.895
N 5.910 8.229 5.804
N 5.910 11.836 12.750
N 5.923 2.612 2.635
N 5.923 4.077 9.581
N 6.414 1.714 8.638
N 6.414 4.974 1.691
N 6.666 0.666 0.896
N 6.666 6.022 7.843
N 6.691 9.311 10.273
N 6.691 10.754 3.327
N 6.738 9.528 1.074
N 6.738 10.537 8.020
N 8.146 2.840 1.074
N 8.146 3.848 8.020
N 8.193 2.623 10.273
N 8.193 4.065 3.327
N 8.218 7.355 0.896
N 8.218 12.710 7.843
N 8.469 8.403 8.638
N 8.469 11.662 1.691
N 8.961 9.300 2.635
N 8.961 10.765 9.581
N 8.974 1.541 5.804
N 8.974 5.148 12.750
N 9.742 6.744 2.948
N 9.742 13.321 9.895
O 1.220 7.652 7.392
O 1.220 12.413 0.446
O 1.801 2.367 7.931
O 1.801 4.321 0.985
O 3.160 9.055 7.931
O 3.160 11.010 0.985
O 3.742 0.964 7.392
O 3.742 5.725 0.446
O 6.181 7.652 13.448
O 6.181 12.413 6.501
O 6.763 2.367 12.909
O 6.763 4.321 5.962
O 8.121 9.055 12.909
O 8.121 11.010 5.962
O 8.703 0.964 13.448
O 8.703 5.725 6.501
```

Calculated values
- Volume: 11.0 A^3/atom
- Formation energy: -0.6134 eV per atom
- SG: Pbca